A relaxed SrCa crystal. Source: Materials Project, functional GGA-PBE.

Results
ΔE to the lowest computed polymorph	0	meV per atom
total moment	0.006	μB per cell
V	95.1	Å³/cell
ΔH_f (0 K)	0.073	eV per formula unit

Geometry as POSCAR:
```
SrCa
1.0
2.3646 -3.1980 0.0000
2.3646 3.1980 0.0000
0.0000 0.0000 6.2900
Sr Ca
1 1
direct
0.5000 0.5000 0.5000
0.0000 0.0000 0.0000
```

A relaxed SrCa3 crystal. Source: Materials Project, functional GGA-PBE.

Results
ΔE to the lowest computed polymorph	11	meV per atom
V	362.2	Å³/cell
ΔH_f (0 K)	0.119	eV per formula unit

Geometry as POSCAR:
```
SrCa3
1.0
-7.8222 0.7189 -1.3655
4.0038 -6.2357 -2.9418
-1.2702 -3.4032 5.4850
Ca Sr
6 2
direct
0.1643 0.3285 0.2500
0.3285 0.1643 0.7500
0.6715 0.8357 0.2500
0.8357 0.1643 0.7500
0.8357 0.6715 0.7500
0.1643 0.8357 0.2500
0.6667 0.3333 0.2500
0.3333 0.6667 0.7500
```

A relaxed SrCa3 crystal. Source: Materials Project, functional GGA-PBE.

Results
ΔE to the lowest computed polymorph	0	meV per atom
V	179.9	Å³/cell
ΔH_f (0 K)	0.075	eV per formula unit

Geometry as POSCAR:
```
SrCa3
1.0
-3.5983 -5.0621 2.9810
-6.7217 1.2370 -0.8643
5.2214 -0.1528 -4.4914
Ca Sr
3 1
direct
0.2500 0.7500 0.5000
0.5000 0.5000 0.0000
0.7500 0.2500 0.5000
0.0000 0.0000 0.0000
```

A relaxed SrCa crystal. Source: Materials Project, functional GGA-PBE.

Results
ΔE to the lowest computed polymorph	0	meV per atom
V	96.6	Å³/cell
ΔH_f (0 K)	0.073	eV per formula unit

Geometry as POSCAR:
```
SrCa
1.0
2.0580 -3.5646 0.0000
2.0580 3.5646 0.0000
0.0000 0.0000 6.5818
Ca Sr
1 1
direct
0.0000 0.0000 0.0000
0.6667 0.3333 0.5000
```

A relaxed SrCa3 crystal. Source: Materials Project, functional GGA-PBE.

Results
ΔE to the lowest computed polymorph	0	meV per atom
V	178.0	Å³/cell
ΔH_f (0 K)	0.075	eV per formula unit

Geometry as POSCAR:
```
SrCa3
1.0
-4.5884 -2.9851 -1.2981
3.1614 -4.6210 -0.5481
-0.7755 -1.1765 5.4464
Ca Sr
3 1
direct
0.5000 0.0000 0.5000
0.5000 0.5000 0.0000
0.0000 0.5000 0.5000
0.0000 0.0000 0.0000
```

A relaxed SrCaTl2 crystal. Source: Materials Project, functional GGA-PBE.

Results
V	129.1	Å³/cell
ΔH_f (0 K)	-1.735	eV per formula unit

Geometry as POSCAR:
```
SrCaTl2
1.0
-4.5093 -0.6678 3.3762
-3.1589 4.4881 1.4342
-5.2337 0.5757 -2.1108
Ca Tl Sr
1 2 1
direct
0.5000 0.5000 0.5000
0.2500 0.2500 0.2500
0.7500 0.7500 0.7500
0.0000 0.0000 0.0000
```

A relaxed SrCaZn2 crystal. Source: Materials Project, functional GGA-PBE.

Results
V	236.0	Å³/cell
ΔH_f (0 K)	-0.892	eV per formula unit

Geometry as POSCAR:
```
SrCaZn2
1.0
4.4605 0.0000 0.0000
0.0000 6.2731 0.0000
0.0000 0.0000 8.4351
Zn Sr Ca
4 2 2
direct
0.0000 0.3451 0.0259
0.5000 0.1351 0.9698
0.0000 0.6549 0.5259
0.5000 0.8649 0.4698
0.5000 0.6347 0.8237
0.5000 0.3653 0.3237
0.0000 0.8702 0.1806
0.0000 0.1298 0.6806
```

A relaxed CaTaTc crystal. Source: Materials Project, functional GGA-PBE.

Results
total moment	0.001	μB per cell
V	66.2	Å³/cell
ΔH_f (0 K)	3.125	eV per formula unit

Geometry as POSCAR:
```
CaTaTc
1.0
4.1652 0.6573 1.6835
0.6456 0.0815 4.4935
2.1884 -3.4145 2.0414
Tc Ta Ca
1 1 1
direct
0.0000 0.0000 0.0000
0.7500 0.7500 0.7500
0.5000 0.5000 0.5000
```